Record 1
Compound: ZrO2
Source: the Materials Project database
Functional: GGA-PBE
Structure: optimized geometry

DFT total energy (eV per cell): -113.77
Energy relative to the elements (eV/atom): -3.7912
MP2020-corrected energy (eV/atom): -9.9391

abc: 7.7598 3.4808 5.5055
angles: 90.00 90.00 90.00
Space group Pnma (No. 62)
Symmetry-distinct sites (fractional):
Zr1 0.1717 0.2500 0.1359 (multiplicity 4)
O1 0.1087 0.7500 0.8851 (multiplicity 4)
O2 0.1447 0.7500 0.3598 (multiplicity 4)

Record 2
Compound: ZrO2
Source: the Materials Project database
Functional: GGA-PBE
Structure: optimized geometry

DFT total energy (eV per cell): -227.62
Energy relative to the elements (eV/atom): -3.7942
MP2020-corrected energy (eV/atom): -9.9421

abc: 5.1636 10.2140 5.3351
angles: 90.00 90.00 90.00
Space group Pbca (No. 61)
Symmetry-distinct sites (fractional):
Zr1 0.2477 0.1155 0.0349 (multiplicity 8)
O1 0.0016 0.0217 0.7388 (multiplicity 8)
O2 0.1251 0.7112 0.3723 (multiplicity 8)

Record 3
Compound: ZrO2
Source: the Materials Project database
Functional: GGA-PBE
Structure: optimized geometry

DFT total energy (eV per cell): -56.80
Energy relative to the elements (eV/atom): -3.7774
MP2020-corrected energy (eV/atom): -9.9253

abc: 3.6438 3.6438 5.3146
angles: 90.00 90.00 90.00
Space group P4_2/nmc (No. 137, origin choice 2)
Symmetry-distinct sites (fractional):
Zr1 0.2500 0.7500 0.2500 (multiplicity 2)
O1 0.2500 0.2500 0.0560 (multiplicity 4)

Record 4
Compound: Zr27O49
Source: the Materials Project database
Functional: GGA-PBE
Structure: optimized geometry

DFT total energy (eV per cell): -711.51
Energy relative to the elements (eV/atom): -3.5782
MP2020-corrected energy (eV/atom): -9.8050

abc: 3.6321 3.6321 80.4476
angles: 90.00 90.00 120.00
Space group P3m1 (No. 156)
Symmetry-distinct sites (fractional):
Zr1 0.0000 0.0000 0.0000 (multiplicity 1)
Zr2 0.0000 0.0000 0.1102 (multiplicity 1)
Zr3 0.0000 0.0000 0.2211 (multiplicity 1)
Zr4 0.0000 0.0000 0.3325 (multiplicity 1)
Zr5 0.0000 0.0000 0.4437 (multiplicity 1)
Zr6 0.0000 0.0000 0.5547 (multiplicity 1)
Zr7 0.0000 0.0000 0.6659 (multiplicity 1)
Zr8 0.0000 0.0000 0.7775 (multiplicity 1)
Zr9 0.0000 0.0000 0.8887 (multiplicity 1)
Zr10 0.3333 0.6667 0.0742 (multiplicity 1)
Zr11 0.3333 0.6667 0.1851 (multiplicity 1)
Zr12 0.3333 0.6667 0.2954 (multiplicity 1)
Zr13 0.3333 0.6667 0.4066 (multiplicity 1)
Zr14 0.3333 0.6667 0.5177 (multiplicity 1)
Zr15 0.3333 0.6667 0.6289 (multiplicity 1)
Zr16 0.3333 0.6667 0.7399 (multiplicity 1)
Zr17 0.3333 0.6667 0.8512 (multiplicity 1)
Zr18 0.3333 0.6667 0.9624 (multiplicity 1)
Zr19 0.6667 0.3333 0.0359 (multiplicity 1)
Zr20 0.6667 0.3333 0.1477 (multiplicity 1)
Zr21 0.6667 0.3333 0.2585 (multiplicity 1)
Zr22 0.6667 0.3333 0.3696 (multiplicity 1)
Zr23 0.6667 0.3333 0.4807 (multiplicity 1)
Zr24 0.6667 0.3333 0.5918 (multiplicity 1)
Zr25 0.6667 0.3333 0.7030 (multiplicity 1)
Zr26 0.6667 0.3333 0.8137 (multiplicity 1)
Zr27 0.6667 0.3333 0.9249 (multiplicity 1)
O1 0.0000 0.0000 0.0836 (multiplicity 1)
O2 0.0000 0.0000 0.1376 (multiplicity 1)
O3 0.0000 0.0000 0.1944 (multiplicity 1)
O4 0.0000 0.0000 0.2488 (multiplicity 1)
O5 0.0000 0.0000 0.3045 (multiplicity 1)
O6 0.0000 0.0000 0.3601 (multiplicity 1)
O7 0.0000 0.0000 0.4158 (multiplicity 1)
O8 0.0000 0.0000 0.4713 (multiplicity 1)
O9 0.0000 0.0000 0.5269 (multiplicity 1)
O10 0.0000 0.0000 0.5824 (multiplicity 1)
O11 0.0000 0.0000 0.6380 (multiplicity 1)
O12 0.0000 0.0000 0.6935 (multiplicity 1)
O13 0.0000 0.0000 0.7490 (multiplicity 1)
O14 0.0000 0.0000 0.8601 (multiplicity 1)
O15 0.0000 0.0000 0.9712 (multiplicity 1)
O16 0.3333 0.6667 0.0432 (multiplicity 1)
O17 0.3333 0.6667 0.1562 (multiplicity 1)
O18 0.3333 0.6667 0.2674 (multiplicity 1)
O19 0.3333 0.6667 0.3230 (multiplicity 1)
O20 0.3333 0.6667 0.3787 (multiplicity 1)
O21 0.3333 0.6667 0.4343 (multiplicity 1)
O22 0.3333 0.6667 0.4899 (multiplicity 1)
O23 0.3333 0.6667 0.5453 (multiplicity 1)
O24 0.3333 0.6667 0.6009 (multiplicity 1)
O25 0.3333 0.6667 0.6564 (multiplicity 1)
O26 0.3333 0.6667 0.7120 (multiplicity 1)
O27 0.3333 0.6667 0.7682 (multiplicity 1)
O28 0.3333 0.6667 0.8213 (multiplicity 1)
O29 0.3333 0.6667 0.8791 (multiplicity 1)
O30 0.3333 0.6667 0.9324 (multiplicity 1)
O31 0.3333 0.6667 0.9902 (multiplicity 1)
O32 0.6667 0.3333 0.0094 (multiplicity 1)
O33 0.6667 0.3333 0.0643 (multiplicity 1)
O34 0.6667 0.3333 0.1175 (multiplicity 1)
O35 0.6667 0.3333 0.1752 (multiplicity 1)
O36 0.6667 0.3333 0.2287 (multiplicity 1)
O37 0.6667 0.3333 0.2858 (multiplicity 1)
O38 0.6667 0.3333 0.3416 (multiplicity 1)
O39 0.6667 0.3333 0.3972 (multiplicity 1)
O40 0.6667 0.3333 0.4529 (multiplicity 1)
O41 0.6667 0.3333 0.5083 (multiplicity 1)
O42 0.6667 0.3333 0.5639 (multiplicity 1)
O43 0.6667 0.3333 0.6194 (multiplicity 1)
O44 0.6667 0.3333 0.6750 (multiplicity 1)
O45 0.6667 0.3333 0.7304 (multiplicity 1)
O46 0.6667 0.3333 0.7873 (multiplicity 1)
O47 0.6667 0.3333 0.8415 (multiplicity 1)
O48 0.6667 0.3333 0.8984 (multiplicity 1)
O49 0.6667 0.3333 0.9525 (multiplicity 1)

Record 5
Compound: ZrO2
Source: the Materials Project database
Functional: GGA-PBE
Structure: optimized geometry

DFT total energy (eV per cell): -665.89
Energy relative to the elements (eV/atom): -3.2079
MP2020-corrected energy (eV/atom): -9.3557

abc: 3.6161 3.6703 67.4870
angles: 90.00 90.00 90.00
Space group Pmm2 (No. 25)
Symmetry-distinct sites (fractional):
Zr1 0.0000 0.0000 0.0000 (multiplicity 1)
Zr2 0.0000 0.0000 0.0671 (multiplicity 1)
Zr3 0.0000 0.0000 0.1470 (multiplicity 1)
Zr4 0.0000 0.0000 0.2265 (multiplicity 1)
Zr5 0.0000 0.0000 0.3054 (multiplicity 1)
Zr6 0.0000 0.0000 0.3837 (multiplicity 1)
Zr7 0.0000 0.0000 0.4603 (multiplicity 1)
Zr8 0.0000 0.0000 0.5377 (multiplicity 1)
Zr9 0.0000 0.0000 0.6137 (multiplicity 1)
Zr10 0.0000 0.0000 0.6910 (multiplicity 1)
Zr11 0.0000 0.0000 0.7694 (multiplicity 1)
Zr12 0.0000 0.0000 0.8486 (multiplicity 1)
Zr13 0.0000 0.0000 0.9283 (multiplicity 1)
Zr14 0.5000 0.5000 0.1074 (multiplicity 1)
Zr15 0.5000 0.5000 0.1870 (multiplicity 1)
Zr16 0.5000 0.5000 0.2662 (multiplicity 1)
Zr17 0.5000 0.5000 0.3449 (multiplicity 1)
Zr18 0.5000 0.5000 0.4222 (multiplicity 1)
Zr19 0.5000 0.5000 0.4993 (multiplicity 1)
Zr20 0.5000 0.5000 0.5760 (multiplicity 1)
Zr21 0.5000 0.5000 0.6524 (multiplicity 1)
Zr22 0.5000 0.5000 0.7303 (multiplicity 1)
Zr23 0.5000 0.5000 0.8092 (multiplicity 1)
Zr24 0.5000 0.5000 0.8887 (multiplicity 1)
O1 0.0000 0.5000 0.0534 (multiplicity 1)
O2 0.0000 0.5000 0.0932 (multiplicity 1)
O3 0.0000 0.5000 0.1329 (multiplicity 1)
O4 0.0000 0.5000 0.1725 (multiplicity 1)
O5 0.0000 0.5000 0.2121 (multiplicity 1)
O6 0.0000 0.5000 0.2516 (multiplicity 1)
O7 0.0000 0.5000 0.2911 (multiplicity 1)
O8 0.0000 0.5000 0.3304 (multiplicity 1)
O9 0.0000 0.5000 0.3701 (multiplicity 1)
O10 0.0000 0.5000 0.4449 (multiplicity 1)
O11 0.0000 0.5000 0.4840 (multiplicity 1)
O12 0.0000 0.5000 0.5235 (multiplicity 1)
O13 0.0000 0.5000 0.5971 (multiplicity 1)
O14 0.0000 0.5000 0.6358 (multiplicity 1)
O15 0.0000 0.5000 0.6750 (multiplicity 1)
O16 0.0000 0.5000 0.7141 (multiplicity 1)
O17 0.0000 0.5000 0.7537 (multiplicity 1)
O18 0.0000 0.5000 0.7933 (multiplicity 1)
O19 0.0000 0.5000 0.8332 (multiplicity 1)
O20 0.0000 0.5000 0.8732 (multiplicity 1)
O21 0.0000 0.5000 0.9142 (multiplicity 1)
O22 0.0000 0.5000 0.9893 (multiplicity 1)
O23 0.5000 0.0000 0.0234 (multiplicity 1)
O24 0.5000 0.0000 0.0432 (multiplicity 1)
O25 0.5000 0.0000 0.0826 (multiplicity 1)
O26 0.5000 0.0000 0.1231 (multiplicity 1)
O27 0.5000 0.0000 0.1632 (multiplicity 1)
O28 0.5000 0.0000 0.2030 (multiplicity 1)
O29 0.5000 0.0000 0.2428 (multiplicity 1)
O30 0.5000 0.0000 0.2822 (multiplicity 1)
O31 0.5000 0.0000 0.3217 (multiplicity 1)
O32 0.5000 0.0000 0.3607 (multiplicity 1)
O33 0.5000 0.0000 0.3999 (multiplicity 1)
O34 0.5000 0.0000 0.4377 (multiplicity 1)
O35 0.5000 0.0000 0.4762 (multiplicity 1)
O36 0.5000 0.0000 0.5147 (multiplicity 1)
O37 0.5000 0.0000 0.5536 (multiplicity 1)
O38 0.5000 0.0000 0.5912 (multiplicity 1)
O39 0.5000 0.0000 0.6294 (multiplicity 1)
O40 0.5000 0.0000 0.6675 (multiplicity 1)
O41 0.5000 0.0000 0.7062 (multiplicity 1)
O42 0.5000 0.0000 0.7451 (multiplicity 1)
O43 0.5000 0.0000 0.7844 (multiplicity 1)
O44 0.5000 0.0000 0.8238 (multiplicity 1)
O45 0.5000 0.0000 0.8633 (multiplicity 1)
O46 0.5000 0.0000 0.9025 (multiplicity 1)
O47 0.5000 0.0000 0.9419 (multiplicity 1)
O48 0.5000 0.0000 0.9860 (multiplicity 1)

Record 6
Compound: Os
Source: the Materials Project database
Functional: GGA-PBE
Structure: optimized geometry

DFT total energy (eV per cell): -20.69
Energy relative to the elements (eV/atom): 0.8828
Relative energy among the computed polymorphs (meV per atom): 883

abc: 3.0981 3.0981 3.0981
angles: 90.00 90.00 90.00
Space group Im-3m (No. 229)
Symmetry-distinct sites (fractional):
Os1 0.0000 0.0000 0.0000 (multiplicity 2)

Record 7
Compound: Os
Source: the Materials Project database
Functional: GGA-PBE
Structure: optimized geometry

DFT total energy (eV per cell): -87.97
Energy relative to the elements (eV/atom): 0.2305
Relative energy among the computed polymorphs (meV per atom): 231

abc: 5.1586 4.6699 5.1466
angles: 90.00 106.02 90.00
Space group P2_1/c (No. 14)
Symmetry-distinct sites (fractional):
Os1 0.1081 0.1596 0.2083 (multiplicity 4)
Os2 0.3612 0.6557 0.1400 (multiplicity 4)

Record 8
Compound: Os
Source: the Materials Project database
Functional: GGA-PBE
Structure: optimized geometry

DFT total energy (eV per cell): -22.45
Energy relative to the elements (eV/atom): 0.0000
Relative energy among the computed polymorphs (meV per atom): 0

abc: 2.7585 2.7585 4.3568
angles: 90.00 90.00 120.00
Space group P6_3/mmc (No. 194)
Symmetry-distinct sites (fractional):
Os1 0.3333 0.6667 0.2500 (multiplicity 2)

Record 9
Compound: Os
Source: the Materials Project database
Functional: GGA-PBE
Structure: optimized geometry

DFT total energy (eV per cell): -44.38
Energy relative to the elements (eV/atom): 0.1334
Relative energy among the computed polymorphs (meV per atom): 133

abc: 3.8635 3.8635 3.8635
angles: 90.00 90.00 90.00
Space group Fm-3m (No. 225)
Symmetry-distinct sites (fractional):
Os1 0.0000 0.0000 0.0000 (multiplicity 4)

Record 10
Compound: P4Os
Source: the Materials Project database
Functional: GGA-PBE
Structure: optimized geometry

DFT total energy (eV per cell): -104.34
Energy relative to the elements (eV/atom): -0.3800
Relative energy among the computed polymorphs (meV per atom): 0

abc: 4.7537 7.2111 7.6030
angles: 111.33 90.34 100.43
Space group P-1 (No. 2)
Symmetry-distinct sites (fractional):
P1 0.0993 0.3668 0.3997 (multiplicity 2)
P2 0.1085 0.8309 0.2688 (multiplicity 2)
P3 0.1592 0.0859 0.9387 (multiplicity 2)
P4 0.2280 0.5731 0.0486 (multiplicity 2)
P5 0.2946 0.2960 0.6240 (multiplicity 2)
P6 0.3220 0.8375 0.7145 (multiplicity 2)
Os1 0.4409 0.3725 0.1720 (multiplicity 2)
Os2 0.5000 0.0000 0.5000 (multiplicity 1)

Record 11
Compound: P4Os
Source: the Materials Project database
Functional: GGA-PBE
Structure: optimized geometry

DFT total energy (eV per cell): -69.40
Energy relative to the elements (eV/atom): -0.3639
Relative energy among the computed polymorphs (meV per atom): 16

abc: 4.7241 4.7105 7.1537
angles: 90.00 99.64 90.00
Space group P2_1/c (No. 14)
Symmetry-distinct sites (fractional):
P1 0.1226 0.1520 0.4112 (multiplicity 4)
P2 0.2842 0.6903 0.7514 (multiplicity 4)
Os1 0.5000 0.0000 0.0000 (multiplicity 2)

Record 12
Compound: P2Os
Source: the Materials Project database
Functional: GGA-PBE
Structure: optimized geometry

DFT total energy (eV per cell): -47.23
Energy relative to the elements (eV/atom): -0.5208

abc: 5.1269 5.9352 2.9484
angles: 90.00 90.00 90.00
Space group Pnnm (No. 58)
Symmetry-distinct sites (fractional):
P1 0.1624 0.1278 0.0000 (multiplicity 4)
Os1 0.0000 0.5000 0.0000 (multiplicity 2)

Record 13
Compound: PrP12Os4
Source: the Materials Project database
Functional: GGA-PBE
Structure: optimized geometry

DFT total energy (eV per cell): -249.40
Energy relative to the elements (eV/atom): -0.5911

abc: 8.1350 8.1350 8.1350
angles: 90.00 90.00 90.00
Space group Im-3 (No. 204)
Symmetry-distinct sites (fractional):
Pr1 0.0000 0.0000 0.0000 (multiplicity 2)
P1 0.0000 0.3572 0.1433 (multiplicity 24)
Os1 0.2500 0.2500 0.2500 (multiplicity 8)

Record 14
Compound: SrP2Os2
Source: the Materials Project database
Functional: GGA-PBE
Structure: optimized geometry

DFT total energy (eV per cell): -76.38
Energy relative to the elements (eV/atom): -0.6437

abc: 4.0835 4.0835 11.3435
angles: 90.00 90.00 90.00
Space group I4/mmm (No. 139)
Symmetry-distinct sites (fractional):
Sr1 0.0000 0.0000 0.0000 (multiplicity 2)
P1 0.0000 0.0000 0.3518 (multiplicity 4)
Os1 0.0000 0.5000 0.2500 (multiplicity 4)

Record 15
Compound: ZrPOs
Source: the Materials Project database
Functional: GGA-PBE
Structure: optimized geometry

DFT total energy (eV per cell): -83.76
Energy relative to the elements (eV/atom): -0.9100

abc: 6.4580 6.4580 3.8841
angles: 90.00 90.00 120.00
Space group P-62m (No. 189)
Symmetry-distinct sites (fractional):
Zr1 0.0000 0.5841 0.0000 (multiplicity 3)
P1 0.0000 0.0000 0.0000 (multiplicity 1)
P2 0.3333 0.6667 0.5000 (multiplicity 2)
Os1 0.0000 0.2463 0.5000 (multiplicity 3)

Record 16
Compound: ZrPOs
Source: the Materials Project database
Functional: GGA-PBE
Structure: optimized geometry

DFT total energy (eV per cell): -111.88
Energy relative to the elements (eV/atom): -0.9269

abc: 6.4887 3.9346 7.3550
angles: 90.00 90.00 90.00
Space group Pnma (No. 62)
Symmetry-distinct sites (fractional):
Zr1 0.0218 0.2500 0.1789 (multiplicity 4)
P1 0.2227 0.7500 0.3771 (multiplicity 4)
Os1 0.1527 0.2500 0.5604 (multiplicity 4)

Record 17
Compound: TaOsPb
Source: the Materials Project database
Functional: GGA-PBE
Structure: optimized geometry

DFT total energy (eV per cell): -97.24
Energy relative to the elements (eV/atom): 0.8289

abc: 6.4063 6.4063 6.4063
angles: 90.00 90.00 90.00
Space group F-43m (No. 216)
Symmetry-distinct sites (fractional):
Ta1 0.0000 0.0000 0.0000 (multiplicity 4)
Os1 0.2500 0.2500 0.7500 (multiplicity 4)
Pb1 0.2500 0.2500 0.2500 (multiplicity 4)

Record 18
Compound: Sc2OsPd
Source: the Materials Project database
Functional: GGA-PBE
Structure: optimized geometry

DFT total energy (eV per cell): -127.38
Energy relative to the elements (eV/atom): -0.6930

abc: 6.5202 6.5202 6.5202
angles: 90.00 90.00 90.00
Space group Fm-3m (No. 225)
Symmetry-distinct sites (fractional):
Sc1 0.2500 0.2500 0.2500 (multiplicity 8)
Os1 0.0000 0.0000 0.0000 (multiplicity 4)
Pd1 0.0000 0.0000 0.5000 (multiplicity 4)